Density functional theory data (meta-GGA r2SCAN) for HoTe after structural relaxation.

a b c (Å): 6.111 6.111 6.111
angles (deg): 90.00 90.00 90.00
Space group Fm-3m (No. 225)
Asymmetric unit:
Ho  0.000  0.000  0.000 x4
Te  0.000  0.000  0.500 x4

**Energy relative to the elements**: -1.452 eV/atom
**Calculated volume**: 28.533 Å³ per atom